K2ZrHF7: relaxed, PBE.

Cell: 8.716 13.643 11.755 Å, 90.00 90.00 90.00°
Atoms (fractional coordinates):
K1 0.117 0.108 0.068
K2 0.117 0.392 0.568
K3 0.152 0.671 0.742
K4 0.152 0.829 0.242
K5 0.348 0.171 0.742
K6 0.348 0.329 0.242
K7 0.383 0.608 0.068
K8 0.383 0.892 0.568
K9 0.617 0.108 0.432
K10 0.617 0.392 0.932
K11 0.652 0.671 0.758
K12 0.652 0.829 0.258
K13 0.848 0.171 0.758
K14 0.848 0.329 0.258
K15 0.883 0.608 0.432
K16 0.883 0.892 0.932
Zr1 0.095 0.118 0.461
Zr2 0.095 0.382 0.961
Zr3 0.405 0.618 0.461
Zr4 0.405 0.882 0.961
Zr5 0.595 0.118 0.039
Zr6 0.595 0.382 0.539
Zr7 0.905 0.618 0.039
Zr8 0.905 0.882 0.539
H1 0.176 0.517 0.308
H2 0.176 0.983 0.808
H3 0.324 0.017 0.308
H4 0.324 0.483 0.808
H5 0.676 0.517 0.192
H6 0.676 0.983 0.692
H7 0.824 0.017 0.192
H8 0.824 0.483 0.692
F1 0.075 0.200 0.607
F2 0.075 0.300 0.107
F3 0.081 0.544 0.937
F4 0.081 0.956 0.437
F5 0.091 0.033 0.815
F6 0.091 0.467 0.315
F7 0.096 0.653 0.128
F8 0.096 0.847 0.628
F9 0.170 0.248 0.906
F10 0.170 0.252 0.406
F11 0.196 0.579 0.531
F12 0.196 0.921 0.031
F13 0.204 0.082 0.304
F14 0.204 0.418 0.804
F15 0.296 0.582 0.304
F16 0.296 0.918 0.804
F17 0.304 0.079 0.531
F18 0.304 0.421 0.031
F19 0.330 0.748 0.906
F20 0.330 0.752 0.406
F21 0.404 0.153 0.128
F22 0.404 0.347 0.628
F23 0.409 0.533 0.815
F24 0.409 0.967 0.315
F25 0.419 0.044 0.937
F26 0.419 0.456 0.437
F27 0.425 0.700 0.607
F28 0.425 0.800 0.107
F29 0.575 0.200 0.893
F30 0.575 0.300 0.393
F31 0.581 0.544 0.563
F32 0.581 0.956 0.063
F33 0.591 0.033 0.685
F34 0.591 0.467 0.185
F35 0.596 0.653 0.372
F36 0.596 0.847 0.872
F37 0.670 0.248 0.594
F38 0.670 0.252 0.094
F39 0.696 0.579 0.969
F40 0.696 0.921 0.469
F41 0.704 0.082 0.196
F42 0.704 0.418 0.696
F43 0.796 0.582 0.196
F44 0.796 0.918 0.696
F45 0.804 0.079 0.969
F46 0.804 0.421 0.469
F47 0.830 0.748 0.594
F48 0.830 0.752 0.094
F49 0.904 0.153 0.372
F50 0.904 0.347 0.872
F51 0.909 0.533 0.685
F52 0.909 0.967 0.185
F53 0.919 0.044 0.563
F54 0.919 0.456 0.063
F55 0.925 0.700 0.893
F56 0.925 0.800 0.393

Calculated values
Corrected total energy (MP2020 scheme) in eV/atom: -5.8569

Mg149S: relaxed, PBE.

Cell: 15.905 15.905 15.596 Å, 90.00 90.00 120.00°
Atoms (fractional coordinates):
Mg1 0.000 0.000 0.000
Mg2 0.000 0.000 0.334
Mg3 0.000 0.000 0.666
Mg4 0.000 0.200 0.000
Mg5 0.000 0.200 0.334
Mg6 0.000 0.200 0.666
Mg7 0.000 0.400 0.000
Mg8 0.000 0.600 0.000
Mg9 0.000 0.800 0.000
Mg10 0.000 0.800 0.334
Mg11 0.000 0.800 0.666
Mg12 0.001 0.401 0.334
Mg13 0.001 0.401 0.666
Mg14 0.001 0.600 0.334
Mg15 0.001 0.600 0.666
Mg16 0.133 0.066 0.167
Mg17 0.133 0.066 0.500
Mg18 0.133 0.066 0.833
Mg19 0.134 0.267 0.167
Mg20 0.134 0.267 0.500
Mg21 0.134 0.267 0.833
Mg22 0.134 0.467 0.166
Mg23 0.134 0.467 0.834
Mg24 0.134 0.666 0.166
Mg25 0.134 0.666 0.834
Mg26 0.134 0.866 0.167
Mg27 0.134 0.866 0.500
Mg28 0.134 0.866 0.833
Mg29 0.136 0.467 0.500
Mg30 0.136 0.669 0.500
Mg31 0.200 0.000 0.000
Mg32 0.200 0.000 0.334
Mg33 0.200 0.000 0.666
Mg34 0.200 0.200 0.000
Mg35 0.200 0.200 0.334
Mg36 0.200 0.200 0.666
Mg37 0.200 0.400 0.000
Mg38 0.200 0.400 0.333
Mg39 0.200 0.400 0.667
Mg40 0.200 0.800 0.000
Mg41 0.200 0.800 0.333
Mg42 0.200 0.800 0.667
Mg43 0.201 0.600 0.000
Mg44 0.203 0.601 0.335
Mg45 0.203 0.601 0.665
Mg46 0.331 0.467 0.500
Mg47 0.331 0.864 0.500
Mg48 0.333 0.667 0.169
Mg49 0.333 0.667 0.831
Mg50 0.334 0.067 0.167
Mg51 0.334 0.067 0.500
Mg52 0.334 0.067 0.833
Mg53 0.334 0.267 0.167
Mg54 0.334 0.267 0.500
Mg55 0.334 0.267 0.833
Mg56 0.334 0.467 0.166
Mg57 0.334 0.467 0.834
Mg58 0.334 0.866 0.166
Mg59 0.334 0.866 0.834
Mg60 0.399 0.601 0.335
Mg61 0.399 0.601 0.665
Mg62 0.399 0.797 0.335
Mg63 0.399 0.797 0.665
Mg64 0.400 0.000 0.000
Mg65 0.400 0.200 0.000
Mg66 0.400 0.200 0.334
Mg67 0.400 0.200 0.666
Mg68 0.400 0.400 0.000
Mg69 0.400 0.401 0.334
Mg70 0.400 0.401 0.666
Mg71 0.400 0.600 0.000
Mg72 0.400 0.799 0.000
Mg73 0.400 0.999 0.334
Mg74 0.400 0.999 0.666
Mg75 0.532 0.065 0.500
Mg76 0.532 0.468 0.500
Mg77 0.533 0.066 0.168
Mg78 0.533 0.066 0.832
Mg79 0.533 0.467 0.168
Mg80 0.533 0.467 0.832
Mg81 0.533 0.666 0.166
Mg82 0.533 0.666 0.834
Mg83 0.533 0.669 0.500
Mg84 0.533 0.864 0.500
Mg85 0.533 0.866 0.166
Mg86 0.533 0.866 0.834
Mg87 0.534 0.267 0.167
Mg88 0.534 0.267 0.500
Mg89 0.534 0.267 0.833
Mg90 0.599 0.600 0.334
Mg91 0.599 0.600 0.666
Mg92 0.599 0.999 0.334
Mg93 0.599 0.999 0.666
Mg94 0.600 0.000 0.000
Mg95 0.600 0.199 0.000
Mg96 0.600 0.199 0.334
Mg97 0.600 0.199 0.666
Mg98 0.600 0.400 0.000
Mg99 0.600 0.400 0.334
Mg100 0.600 0.400 0.666
Mg101 0.600 0.600 0.000
Mg102 0.600 0.800 0.000
Mg103 0.600 0.800 0.333
Mg104 0.600 0.800 0.667
Mg105 0.733 0.067 0.167
Mg106 0.733 0.067 0.500
Mg107 0.733 0.067 0.833
Mg108 0.733 0.267 0.167
Mg109 0.733 0.267 0.500
Mg110 0.733 0.267 0.833
Mg111 0.733 0.466 0.167
Mg112 0.733 0.466 0.500
Mg113 0.733 0.466 0.833
Mg114 0.733 0.666 0.167
Mg115 0.733 0.666 0.500
Mg116 0.733 0.666 0.833
Mg117 0.733 0.866 0.167
Mg118 0.733 0.866 0.500
Mg119 0.733 0.866 0.833
Mg120 0.800 0.000 0.000
Mg121 0.800 0.000 0.334
Mg122 0.800 0.000 0.666
Mg123 0.800 0.200 0.000
Mg124 0.800 0.200 0.334
Mg125 0.800 0.200 0.666
Mg126 0.800 0.600 0.000
Mg127 0.800 0.600 0.334
Mg128 0.800 0.600 0.666
Mg129 0.800 0.800 0.000
Mg130 0.800 0.800 0.334
Mg131 0.800 0.800 0.666
Mg132 0.801 0.400 0.000
Mg133 0.801 0.400 0.334
Mg134 0.801 0.400 0.666
Mg135 0.933 0.267 0.167
Mg136 0.933 0.267 0.500
Mg137 0.933 0.267 0.833
Mg138 0.933 0.666 0.167
Mg139 0.933 0.666 0.500
Mg140 0.933 0.666 0.833
Mg141 0.934 0.066 0.167
Mg142 0.934 0.066 0.500
Mg143 0.934 0.066 0.833
Mg144 0.934 0.467 0.168
Mg145 0.934 0.467 0.832
Mg146 0.934 0.867 0.167
Mg147 0.934 0.867 0.500
Mg148 0.934 0.867 0.833
Mg149 0.935 0.468 0.500
S1 0.333 0.667 0.500

Calculated values
Corrected total energy (MP2020 scheme) in eV/atom: -1.6487

Re2Sb4O13: relaxed, PBE.

Cell: 7.892 9.574 10.213 Å, 72.59 68.82 66.58°
Atoms (fractional coordinates):
Re1 0.154 0.171 0.133
Re2 0.319 0.046 0.718
Re3 0.681 0.954 0.282
Re4 0.846 0.829 0.867
Sb1 0.209 0.762 0.461
Sb2 0.210 0.405 0.390
Sb3 0.301 0.653 0.058
Sb4 0.330 0.460 0.767
Sb5 0.670 0.540 0.233
Sb6 0.699 0.347 0.942
Sb7 0.790 0.595 0.610
Sb8 0.791 0.238 0.539
O1 0.054 0.692 0.918
O2 0.073 0.594 0.505
O3 0.140 0.122 0.863
O4 0.140 0.203 0.298
O5 0.154 0.523 0.207
O6 0.159 0.980 0.162
O7 0.211 0.068 0.586
O8 0.342 0.644 0.611
O9 0.364 0.196 0.006
O10 0.381 0.634 0.306
O11 0.427 0.506 0.908
O12 0.435 0.849 0.771
O13 0.481 0.153 0.649
O14 0.519 0.847 0.351
O15 0.565 0.151 0.229
O16 0.573 0.494 0.092
O17 0.619 0.366 0.694
O18 0.636 0.804 0.994
O19 0.658 0.356 0.389
O20 0.789 0.932 0.414
O21 0.841 0.020 0.838
O22 0.846 0.477 0.793
O23 0.860 0.797 0.702
O24 0.860 0.878 0.137
O25 0.927 0.406 0.495
O26 0.946 0.308 0.082

Calculated values
Corrected total energy (MP2020 scheme) in eV/atom: -7.5085

Ag3SbS3: relaxed, PBE.

Cell: 7.009 16.014 6.401 Å, 90.00 116.49 90.00°
Atoms (fractional coordinates):
Ag1 0.027 0.243 0.311
Ag2 0.027 0.257 0.811
Ag3 0.090 0.598 0.532
Ag4 0.090 0.902 0.032
Ag5 0.443 0.189 0.211
Ag6 0.443 0.311 0.711
Ag7 0.557 0.689 0.289
Ag8 0.557 0.811 0.789
Ag9 0.910 0.098 0.968
Ag10 0.910 0.402 0.468
Ag11 0.973 0.743 0.189
Ag12 0.973 0.757 0.689
Sb1 0.307 0.052 0.673
Sb2 0.307 0.448 0.173
Sb3 0.693 0.552 0.827
Sb4 0.693 0.948 0.327
S1 0.029 0.637 0.944
S2 0.029 0.863 0.444
S3 0.281 0.057 0.269
S4 0.281 0.443 0.769
S5 0.443 0.667 0.626
S6 0.443 0.833 0.126
S7 0.557 0.167 0.874
S8 0.557 0.333 0.374
S9 0.719 0.557 0.231
S10 0.719 0.943 0.731
S11 0.971 0.137 0.556
S12 0.971 0.363 0.056

Calculated values
Corrected total energy (MP2020 scheme) in eV/atom: -3.9258

Cu3P6O32: relaxed, PBE.

Cell: 6.497 9.456 11.100 Å, 106.64 95.04 106.62°
Atoms (fractional coordinates):
Cu1 0.000 0.000 0.000
Cu2 0.087 0.625 0.381
Cu3 0.913 0.375 0.619
P1 0.282 0.130 0.806
P2 0.383 0.448 0.779
P3 0.455 0.769 0.942
P4 0.545 0.231 0.058
P5 0.617 0.552 0.221
P6 0.718 0.870 0.194
O1 0.030 0.349 0.386
O2 0.084 0.819 0.974
O3 0.086 0.041 0.850
O4 0.160 0.773 0.290
O5 0.175 0.290 0.366
O6 0.219 0.449 0.674
O7 0.244 0.816 0.895
O8 0.254 0.923 0.377
O9 0.271 0.304 0.829
O10 0.307 0.055 0.673
O11 0.333 0.661 0.478
O12 0.363 0.019 0.331
O13 0.368 0.165 0.121
O14 0.377 0.586 0.909
O15 0.390 0.537 0.240
O16 0.494 0.833 0.093
O17 0.506 0.167 0.907
O18 0.610 0.463 0.760
O19 0.623 0.414 0.091
O20 0.632 0.835 0.879
O21 0.637 0.981 0.669
O22 0.667 0.339 0.522
O23 0.693 0.945 0.327
O24 0.729 0.696 0.171
O25 0.746 0.077 0.623
O26 0.756 0.184 0.105
O27 0.781 0.551 0.326
O28 0.825 0.710 0.634
O29 0.840 0.227 0.710
O30 0.914 0.959 0.150
O31 0.916 0.181 0.026
O32 0.970 0.651 0.614

Asked for energy of formation from the pure elements across the records above, the calculation gives -3351 -31 -1944 -349 -890 meV per atom in order.
Asked for energy across the records above, the calculation gives -5.563 -1.645 -7.038 -3.710 -5.844 eV/atom in order.